# 1
## Na2AlTlF6 (PBE)

Data for Na2AlTlF6 after structural relaxation.

Cell: 6.2436 6.2436 6.2436 Å, 60.00 60.00 60.00°
Closest atoms and distances in Å follow each position.
Atoms (fractional coordinates):
Na: 0.2500 0.2500 0.2500  12 F 3.14
Na: 0.7500 0.7500 0.7500  12 F 3.14
Al: 0.0000 0.0000 0.0000  6 F 1.83
Tl: 0.5000 0.5000 0.5000  6 F 2.59
F: 0.2071 0.2071 0.7929  1 Al 1.83
F: 0.2071 0.7929 0.2071  1 Al 1.83
F: 0.2071 0.7929 0.7929  1 Al 1.83
F: 0.7929 0.2071 0.2071  1 Al 1.83
F: 0.7929 0.2071 0.7929  1 Al 1.83
F: 0.7929 0.7929 0.2071  1 Al 1.83

Results
Space group ... Fm-3m
Total magnetization ... 0.0 μB/f.u.
Total energy ... -4.741 eV per atom

# 2
## Na3U6AlF30 (PBE)

Data for Na3U6AlF30 after structural relaxation.

Cell: 9.8760 9.8760 13.0393 Å, 90.00 90.00 120.00°
Closest atoms and distances in Å follow each position.
Atoms (fractional coordinates):
Na: 0.0000 0.0000 0.0000  12 F 2.63-2.65
Na: 0.0000 0.0000 0.5000  12 F 2.63-2.65
Na: 0.3333 0.6667 0.1618  6 F 2.28-2.35
Na: 0.3333 0.6667 0.6618  6 F 2.28-2.35
Na: 0.6667 0.3333 0.3382  6 F 2.28-2.35
Na: 0.6667 0.3333 0.8382  6 F 2.28-2.35
U: 0.0762 0.3986 0.3977  9 F 2.26-2.46
U: 0.0762 0.6776 0.8977  9 F 2.26-2.46
U: 0.3224 0.3986 0.8977  9 F 2.26-2.46
U: 0.3224 0.9238 0.3977  9 F 2.26-2.46
U: 0.3986 0.0762 0.1023  9 F 2.26-2.46
U: 0.3986 0.3224 0.6023  9 F 2.26-2.46
U: 0.6014 0.6776 0.3977  9 F 2.26-2.46
U: 0.6014 0.9238 0.8977  9 F 2.26-2.46
U: 0.6776 0.0762 0.6023  9 F 2.26-2.46
U: 0.6776 0.6014 0.1023  9 F 2.26-2.46
U: 0.9238 0.3224 0.1023  9 F 2.26-2.46
U: 0.9238 0.6014 0.6023  9 F 2.26-2.46
Al: 0.0000 0.0000 0.2500  6 F 1.84
Al: 0.0000 0.0000 0.7500  6 F 1.84
F: 0.0767 0.1726 0.3335  1 Al 1.84
F: 0.0767 0.9041 0.8335  1 Al 1.84
F: 0.0959 0.1726 0.8335  1 Al 1.84
F: 0.0959 0.9233 0.3335  1 Al 1.84
F: 0.1131 0.3048 0.0170  2 U 2.26-2.37
F: 0.1131 0.8083 0.5170  2 U 2.26-2.37
F: 0.1206 0.5327 0.5498  2 U 2.30-2.46, 1 Na 2.35, 1 F 2.50
F: 0.1206 0.5879 0.0498  2 U 2.30-2.46, 1 Na 2.35, 1 F 2.50
F: 0.1313 0.4328 0.2149  1 Na 2.28, 2 U 2.30-2.43, 1 F 2.42
F: 0.1313 0.6984 0.7149  1 Na 2.28, 2 U 2.30-2.43, 1 F 2.42
F: 0.1703 0.5114 0.8616  2 U 2.30-2.32
F: 0.1703 0.6589 0.3616  2 U 2.30-2.32
F: 0.1726 0.0767 0.1665  1 Al 1.84
F: 0.1726 0.0959 0.6665  1 Al 1.84
F: 0.1917 0.3048 0.5170  2 U 2.26-2.37
F: 0.1917 0.8869 0.0170  2 U 2.26-2.37
F: 0.3016 0.4328 0.7149  1 Na 2.28, 2 U 2.30-2.43, 1 F 2.42
F: 0.3016 0.8687 0.2149  1 Na 2.28, 2 U 2.30-2.43, 1 F 2.42
F: 0.3048 0.1131 0.4830  2 U 2.26-2.37
F: 0.3048 0.1917 0.9830  2 U 2.26-2.37
F: 0.3411 0.5114 0.3616  2 U 2.30-2.32
F: 0.3411 0.8297 0.8616  2 U 2.30-2.32
F: 0.4121 0.5327 0.0498  2 U 2.30-2.46, 1 Na 2.35, 1 F 2.50
F: 0.4121 0.8794 0.5498  2 U 2.30-2.46, 1 Na 2.35, 1 F 2.50
F: 0.4328 0.1313 0.2851  1 Na 2.28, 2 U 2.30-2.43, 1 F 2.42
F: 0.4328 0.3016 0.7851  1 Na 2.28, 2 U 2.30-2.43, 1 F 2.42
F: 0.4673 0.5879 0.5498  2 U 2.30-2.46, 1 Na 2.35, 1 F 2.50
F: 0.4673 0.8794 0.0498  2 U 2.30-2.46, 1 Na 2.35, 1 F 2.50
F: 0.4886 0.6589 0.8616  2 U 2.30-2.32
F: 0.4886 0.8297 0.3616  2 U 2.30-2.32
F: 0.5114 0.1703 0.6384  2 U 2.30-2.32
F: 0.5114 0.3411 0.1384  2 U 2.30-2.32
F: 0.5327 0.1206 0.9502  2 U 2.30-2.46, 1 Na 2.35, 1 F 2.50
F: 0.5327 0.4121 0.4502  2 U 2.30-2.46, 1 Na 2.35, 1 F 2.50
F: 0.5672 0.6984 0.2149  1 Na 2.28, 2 U 2.30-2.43, 1 F 2.42
F: 0.5672 0.8687 0.7149  1 Na 2.28, 2 U 2.30-2.43, 1 F 2.42
F: 0.5879 0.1206 0.4502  2 U 2.30-2.46, 1 Na 2.35, 1 F 2.50
F: 0.5879 0.4673 0.9502  2 U 2.30-2.46, 1 Na 2.35, 1 F 2.50
F: 0.6589 0.1703 0.1384  2 U 2.30-2.32
F: 0.6589 0.4886 0.6384  2 U 2.30-2.32
F: 0.6952 0.8083 0.0170  2 U 2.26-2.37
F: 0.6952 0.8869 0.5170  2 U 2.26-2.37
F: 0.6984 0.1313 0.7851  1 Na 2.28, 2 U 2.30-2.43, 1 F 2.42
F: 0.6984 0.5672 0.2851  1 Na 2.28, 2 U 2.30-2.43, 1 F 2.42
F: 0.8083 0.1131 0.9830  2 U 2.26-2.37
F: 0.8083 0.6952 0.4830  2 U 2.26-2.37
F: 0.8274 0.9041 0.3335  1 Al 1.84
F: 0.8274 0.9233 0.8335  1 Al 1.84
F: 0.8297 0.3411 0.6384  2 U 2.30-2.32
F: 0.8297 0.4886 0.1384  2 U 2.30-2.32
F: 0.8687 0.3016 0.2851  1 Na 2.28, 2 U 2.30-2.43, 1 F 2.42
F: 0.8687 0.5672 0.7851  1 Na 2.28, 2 U 2.30-2.43, 1 F 2.42
F: 0.8794 0.4121 0.9502  2 U 2.30-2.46, 1 Na 2.35, 1 F 2.50
F: 0.8794 0.4673 0.4502  2 U 2.30-2.46, 1 Na 2.35, 1 F 2.50
F: 0.8869 0.1917 0.4830  2 U 2.26-2.37
F: 0.8869 0.6952 0.9830  2 U 2.26-2.37
F: 0.9041 0.0767 0.6665  1 Al 1.84
F: 0.9041 0.8274 0.1665  1 Al 1.84
F: 0.9233 0.0959 0.1665  1 Al 1.84
F: 0.9233 0.8274 0.6665  1 Al 1.84

Results
Space group ... P-3c1
Total magnetization ... 12.0 μB/f.u.
Total energy ... -6.807 eV per atom

# 3
## Na2AlZnF7 (PBE)

Data for Na2AlZnF7 after structural relaxation.

Cell: 7.3056 7.3056 7.3056 Å, 120.92 90.58 118.42°
Closest atoms and distances in Å follow each position.
Atoms (fractional coordinates):
Na: 0.0000 0.0000 0.0000  2 F 2.25
Na: 0.5000 0.0000 0.0000  8 F 2.50-2.79
Na: 0.5000 0.0000 0.5000  2 F 2.25
Na: 0.5000 0.5000 0.5000  8 F 2.50-2.79
Al: 0.0000 0.5000 0.5000  6 F 1.82-1.86
Al: 0.5000 0.5000 0.0000  6 F 1.82-1.86
Zn: 0.0000 0.0000 0.5000  6 F 2.03-2.05
Zn: 0.0000 0.5000 0.0000  6 F 2.03-2.05
F: 0.0475 0.2512 0.4267  1 Al 1.82
F: 0.0475 0.6209 0.7963  1 Al 1.82
F: 0.1238 0.8738 0.2500  2 Zn 2.03
F: 0.3041 0.7213 0.5828  1 Al 1.86
F: 0.3246 0.2512 0.7037  1 Al 1.82
F: 0.3246 0.6209 0.0733  1 Al 1.82
F: 0.3616 0.2787 0.0828  1 Al 1.86
F: 0.6384 0.7213 0.9172  1 Al 1.86
F: 0.6754 0.3791 0.9267  1 Al 1.82
F: 0.6754 0.7488 0.2963  1 Al 1.82
F: 0.6959 0.2787 0.4172  1 Al 1.86
F: 0.8762 0.1262 0.7500  2 Zn 2.03
F: 0.9525 0.3791 0.2037  1 Al 1.82
F: 0.9525 0.7488 0.5733  1 Al 1.82

Results
Space group ... Imma
Total magnetization ... 0.0 μB/f.u.
Total energy ... -4.854 eV per atom

# 4
## AlO3F3 (PBE)

Data for AlO3F3 after structural relaxation.

Cell: 4.8366 4.8366 4.8366 Å, 98.20 98.20 98.20°
Closest atoms and distances in Å follow each position.
Atoms (fractional coordinates):
Al: 0.0000 0.0000 0.0000  3 F 1.75, 3 O 1.95
O: 0.1161 0.7236 0.7236  1 Al 1.95
O: 0.7236 0.1161 0.7236  1 Al 1.95
O: 0.7236 0.7236 0.1161  1 Al 1.95
F: 0.2276 0.2276 0.8497  1 Al 1.75
F: 0.2276 0.8497 0.2276  1 Al 1.75
F: 0.8497 0.2276 0.2276  1 Al 1.75

Results
Space group ... R3m
Total magnetization ... 6.0 μB/f.u.
Total energy ... -4.122 eV per atom

Which of these has the highest total energy?
AlO3F3

Which value of total magnetization does entry 2 give?
12.0 μB/f.u.